64
Lattice="5.204 0.000 0.000 0.000 11.196 0.000 0.000 0.000 15.324" Properties=species:S:1:pos:R:3 comment="SiPbN2 PBE-GGA optimized geometry" rho_g_cm3=7.83 de_polymorph_mev_per_atom=27 energy_ev_per_cell=-436.34 formation_enthalpy_0k_ev_per_atom=-0.546 pbc="T T T"
Si 0.984 2.783 0.946
Si 0.984 2.816 8.608
Si 1.157 0.086 2.873
Si 1.157 5.512 10.535
Si 1.445 5.684 2.873
Si 1.445 11.110 10.535
Si 1.618 8.381 0.946
Si 1.618 8.414 8.608
Si 3.586 2.783 6.717
Si 3.586 2.816 14.379
Si 3.759 0.086 4.790
Si 3.759 5.512 12.452
Si 4.047 5.684 4.790
Si 4.047 11.110 12.452
Si 4.220 8.381 6.717
Si 4.220 8.414 14.379
Pb 0.714 2.540 12.507
Pb 0.714 3.058 4.845
Pb 1.181 0.305 6.630
Pb 1.181 5.293 14.292
Pb 1.421 5.903 6.630
Pb 1.421 10.892 14.292
Pb 1.888 8.138 12.507
Pb 1.888 8.657 4.845
Pb 3.316 2.540 10.479
Pb 3.316 3.058 2.817
Pb 3.783 0.305 1.033
Pb 3.783 5.293 8.695
Pb 4.023 5.903 1.033
Pb 4.023 10.892 8.695
Pb 4.490 8.138 10.479
Pb 4.490 8.657 2.817
N 0.538 5.769 4.369
N 0.538 11.025 12.031
N 0.735 8.206 7.074
N 0.735 8.589 14.737
N 0.947 6.978 1.788
N 0.947 9.816 9.450
N 1.276 1.445 9.663
N 1.276 4.153 2.000
N 1.326 7.043 9.663
N 1.326 9.751 2.000
N 1.655 1.380 1.788
N 1.655 4.218 9.450
N 1.867 2.608 7.074
N 1.867 2.990 14.737
N 2.064 0.171 4.369
N 2.064 5.427 12.031
N 3.140 5.769 3.293
N 3.140 11.025 10.955
N 3.337 8.206 0.588
N 3.337 8.589 8.250
N 3.549 6.978 5.875
N 3.549 9.816 13.537
N 3.878 1.445 13.324
N 3.878 4.153 5.662
N 3.928 7.043 13.324
N 3.928 9.751 5.662
N 4.257 1.380 5.875
N 4.257 4.218 13.537
N 4.469 2.608 0.588
N 4.469 2.990 8.250
N 4.666 0.171 3.293
N 4.666 5.427 10.955